(1)
Here is a relaxed Ba2YMgBiO6 crystal from the Materials Project database. Energies are from PBE-GGA.

Summary:
M_tot in μB per cell: 0.00
ΔE_f in meV/atom: -2695
Energy above the lowest structure with this stoichiometry in meV/atom: 0
Raw total energy in eV/atom: -6.45

Cell lengths 7.3809, 7.3809, 7.3854 Å; angles 50.48, 50.48, 50.49 degrees
Last column: nearest neighbours and their distance in Å.
Atoms (fractional coordinates):
Ba  0.7797  0.7797  0.7802  3 O 2.83-2.85
Ba  0.3228  0.3228  0.3247  3 O 2.59-2.60
Y  0.5031  0.5031  0.5034  6 O 2.23-2.33
Mg  0.1069  0.1069  0.1084  3 O 1.92
Bi  0.9573  0.9573  0.9574  3 O 2.09
O  0.7380  0.7380  0.2130  1 Bi 2.09, 1 Y 2.23
O  0.2621  0.7426  0.2640  1 Mg 1.92
O  0.7393  0.2159  0.7367  1 Bi 2.09, 1 Y 2.23
O  0.2159  0.7393  0.7367  1 Bi 2.09, 1 Y 2.23
O  0.2626  0.2626  0.7443  1 Mg 1.92
O  0.7426  0.2621  0.2640  1 Mg 1.92

---

(2)
Here is a relaxed CaAlH5 crystal from the Materials Project database. Energies are from PBE-GGA.

Summary:
M_tot in μB per cell: 0.00
ΔE_f in meV/atom: -292
Energy above the lowest structure with this stoichiometry in meV/atom: 117
Raw total energy in eV/atom: -3.41

Cell lengths 6.1865, 11.4750, 10.6837 Å; angles 108.27, 90.00, 90.00 degrees
Last column: nearest neighbours and their distance in Å.
Atoms (fractional coordinates):
Ca  0.3212  0.8503  0.0199  6 H 2.16-2.36
Ca  0.1902  0.2987  0.8270  5 H 2.14-2.25
Ca  0.6902  0.2013  0.6730  5 H 2.14-2.25
Ca  0.1788  0.3503  0.5199  6 H 2.16-2.36
Ca  0.8098  0.7013  0.1730  5 H 2.14-2.25
Ca  0.3098  0.7987  0.3270  5 H 2.14-2.25
Ca  0.6788  0.1497  0.9801  6 H 2.16-2.36
Ca  0.8212  0.6497  0.4801  6 H 2.16-2.36
Al  0.2920  0.5807  0.8312  4 H 1.64-1.70
Al  0.2679  0.4805  0.3037  4 H 1.61-1.70
Al  0.7321  0.5195  0.6963  4 H 1.61-1.70
Al  0.7679  0.0195  0.1963  4 H 1.61-1.70
Al  0.7080  0.4193  0.1688  4 H 1.64-1.70
Al  0.2321  0.9805  0.8037  4 H 1.61-1.70
Al  0.7920  0.9193  0.6688  4 H 1.64-1.70
Al  0.2080  0.0807  0.3312  4 H 1.64-1.70
H  0.8119  0.6566  0.7027  1 Al 1.63
H  0.7459  0.9462  0.3013  1 Al 1.61
H  0.8897  0.3127  0.0928  1 Al 1.67
H  0.6160  0.0045  0.7827  1 Al 1.70
H  0.9034  0.1931  0.8406  3 Ca 2.18-2.25
H  0.2541  0.0538  0.6987  1 Al 1.61
H  0.1864  0.5602  0.4578  1 Al 1.69
H  0.5374  0.4687  0.3290  1 Al 1.70
H  0.4034  0.3069  0.6594  3 Ca 2.18-2.25
H  0.1881  0.3434  0.2973  1 Al 1.63
H  0.0047  0.2671  0.6448  3 Ca 2.14-2.19
H  0.4953  0.7671  0.1448  3 Ca 2.14-2.19
H  0.1905  0.9880  0.4201  1 Al 1.64
H  0.0374  0.0313  0.1710  1 Al 1.70
H  0.3095  0.4880  0.9201  1 Al 1.64
H  0.2459  0.5538  0.1987  1 Al 1.61
H  0.8840  0.5045  0.2827  1 Al 1.70
H  0.9953  0.7329  0.3552  3 Ca 2.14-2.19
H  0.5966  0.6931  0.3406  3 Ca 2.18-2.25
H  0.4626  0.5313  0.6710  1 Al 1.70
H  0.5040  0.6749  0.8850  1 Al 1.68
H  0.3840  0.9955  0.2173  1 Al 1.70
H  0.1103  0.6873  0.9072  1 Al 1.67
H  0.6103  0.8127  0.5928  1 Al 1.67
H  0.8136  0.4398  0.5422  1 Al 1.69
H  0.1160  0.4955  0.7173  1 Al 1.70
H  0.4960  0.3251  0.1150  1 Al 1.68
H  0.3136  0.0602  0.9578  1 Al 1.69
H  0.3897  0.1873  0.4072  1 Al 1.67
H  0.6905  0.5120  0.0799  1 Al 1.64
H  0.8095  0.0120  0.5799  1 Al 1.64
H  0.5047  0.2329  0.8552  3 Ca 2.14-2.19
H  0.9626  0.9687  0.8290  1 Al 1.70
H  0.0040  0.8251  0.6150  1 Al 1.68
H  0.9960  0.1749  0.3850  1 Al 1.68
H  0.6864  0.9398  0.0422  1 Al 1.69
H  0.6881  0.1566  0.2027  1 Al 1.63
H  0.3119  0.8434  0.7973  1 Al 1.63
H  0.7541  0.4462  0.8013  1 Al 1.61
H  0.0966  0.8069  0.1594  3 Ca 2.18-2.25

---

(3)
Here is a relaxed Mg2Cd crystal from the Materials Project database. Energies are from PBE-GGA.

Summary:
ΔE_f in meV/atom: -58
Raw total energy in eV/atom: -1.43

Cell lengths 6.0134, 6.0134, 7.3835 Å; angles 75.49, 75.49, 30.84 degrees
Last column: nearest neighbours and their distance in Å.
Atoms (fractional coordinates):
Mg  0.8089  0.8089  0.6365  7 Mg 3.10-3.20, 5 Cd 3.12-3.16
Mg  0.1380  0.1380  0.9727  8 Mg 3.10-3.20, 4 Cd 3.11-3.13
Mg  0.8620  0.8620  0.0273  8 Mg 3.10-3.20, 4 Cd 3.11-3.13
Mg  0.1911  0.1911  0.3635  7 Mg 3.10-3.20, 5 Cd 3.12-3.16
Cd  0.5290  0.5290  0.6961  9 Mg 3.11-3.16, 3 Cd 3.14-3.20
Cd  0.4710  0.4710  0.3039  9 Mg 3.11-3.16, 3 Cd 3.14-3.20

---

(4)
Here is a relaxed Mg16Si8HO32 crystal from the Materials Project database. Energies are from PBE-GGA.

Summary:
M_tot in μB per cell: 0.00
ΔE_f in meV/atom: -3062
Energy above the lowest structure with this stoichiometry in meV/atom: 55
Raw total energy in eV/atom: -6.72

Cell lengths 5.7914, 8.3939, 11.6421 Å; angles 90.00, 90.00, 90.00 degrees
Last column: nearest neighbours and their distance in Å.
Atoms (fractional coordinates):
Mg  0.7497  0.5001  0.8785  6 O 2.04-2.18
Mg  0.2503  0.5001  0.1215  6 O 2.04-2.18
Mg  0.7497  0.5001  0.1215  6 O 2.04-2.18
Mg  0.2503  0.5001  0.8785  6 O 2.04-2.18
Mg  0.0000  0.2542  0.7509  6 O 2.07-2.19
Mg  0.0000  0.2542  0.2491  6 O 2.07-2.19
Mg  0.0000  0.2794  0.5000  6 O 2.08-2.16
Mg  0.5000  0.7051  0.5000  5 O 2.04-2.12
Mg  0.2394  0.9970  0.3695  6 O 2.07-2.17
Mg  0.7606  0.9970  0.6305  6 O 2.07-2.17
Mg  0.2394  0.9970  0.6305  6 O 2.07-2.17
Mg  0.7606  0.9970  0.3695  6 O 2.07-2.17
Mg  0.5000  0.7484  0.2489  6 O 2.07-2.16
Mg  0.5000  0.7484  0.7511  6 O 2.07-2.16
Mg  0.5000  0.7806  0.0000  6 O 2.07-2.13
Mg  0.0000  0.2192  0.0000  6 O 2.07-2.14
Si  0.0000  0.8645  0.1289  4 O 1.65-1.72
Si  0.0000  0.8645  0.8711  4 O 1.65-1.72
Si  0.5000  0.1339  0.8699  4 O 1.66-1.73
Si  0.5000  0.1339  0.1301  4 O 1.66-1.73
Si  0.5000  0.3659  0.6318  4 O 1.66-1.74
Si  0.5000  0.3659  0.3682  4 O 1.66-1.74
Si  0.0000  0.6358  0.3700  4 O 1.66-1.73
Si  0.0000  0.6358  0.6300  4 O 1.66-1.73
H  0.5000  0.1097  0.5000  1 O 1.00
O  0.2613  0.2429  0.1277  1 Si 1.66
O  0.7387  0.2429  0.8723  1 Si 1.66
O  0.7609  0.7567  0.8726  1 Si 1.65
O  0.2391  0.7567  0.1274  1 Si 1.65
O  0.2391  0.7567  0.8726  1 Si 1.65
O  0.7609  0.7567  0.1274  1 Si 1.65
O  0.7387  0.2429  0.1277  1 Si 1.66
O  0.2613  0.2429  0.8723  1 Si 1.66
O  0.0000  0.5082  0.7392  1 Si 1.66
O  0.0000  0.5082  0.2608  1 Si 1.66
O  0.5000  0.4946  0.2602  1 Si 1.66
O  0.5000  0.4946  0.7398  1 Si 1.66
O  0.0000  0.0313  0.5000  5 Mg 2.08
O  0.5000  0.9910  0.5000  1 H 1.00
O  0.0000  0.5363  0.5000  2 Si 1.73
O  0.5000  0.4625  0.5000  2 Si 1.74
O  0.0000  0.9646  0.0000  2 Si 1.72
O  0.5000  0.0346  0.0000  2 Si 1.73
O  0.0000  0.4656  0.0000  5 Mg 2.05-2.07
O  0.5000  0.5343  0.0000  5 Mg 2.04-2.07
O  0.0000  0.9940  0.2376  1 Si 1.67
O  0.0000  0.9940  0.7624  1 Si 1.67
O  0.5000  0.0053  0.7599  1 Si 1.67
O  0.5000  0.0053  0.2401  1 Si 1.67
O  0.7587  0.7462  0.3747  1 Si 1.68
O  0.2413  0.7462  0.6253  1 Si 1.68
O  0.2623  0.2545  0.6270  1 Si 1.67
O  0.7377  0.2545  0.3730  1 Si 1.67
O  0.7377  0.2545  0.6270  1 Si 1.67
O  0.2623  0.2545  0.3730  1 Si 1.67
O  0.2413  0.7462  0.3747  1 Si 1.68
O  0.7587  0.7462  0.6253  1 Si 1.68

---

(5)
Here is a relaxed TiBi2O6 crystal from the Materials Project database. Energies are from PBE-GGA.

Summary:
M_tot in μB per cell: 2.00
ΔE_f in meV/atom: -1843
Raw total energy in eV/atom: -6.42

Cell lengths 6.1729, 6.1729, 6.1729 Å; angles 128.44, 128.44, 75.91 degrees
Last column: nearest neighbours and their distance in Å.
Atoms (fractional coordinates):
Ti  0.7978  0.7978  0.0000  5 O 1.79-1.95
Bi  0.4935  0.9935  0.5000  4 O 2.26
Bi  0.9935  0.4935  0.5000  4 O 2.26
O  0.0727  0.0727  0.0000  1 Ti 2.68, 4 O 2.70, 4 Bi 2.79
O  0.6139  0.6139  0.0000  1 Ti 1.79
O  0.1090  0.6274  0.0000  1 Ti 1.95
O  0.6274  0.6274  0.5184  1 Ti 1.95
O  0.6274  0.1090  0.0000  1 Ti 1.95
O  0.1090  0.1090  0.4816  1 Ti 1.95

---

(6)
Here is a relaxed Nb5P3 crystal from the Materials Project database. Energies are from PBE-GGA.

Summary:
M_tot in μB per cell: 0.00
ΔE_f in meV/atom: -872
Raw total energy in eV/atom: -9.22

Cell lengths 3.4523, 11.5634, 25.5940 Å; angles 90.00, 90.00, 90.00 degrees
Last column: nearest neighbours and their distance in Å.
Atoms (fractional coordinates):
Nb  0.2500  0.9316  0.6013  5 P 2.48-2.65
Nb  0.2500  0.3448  0.2600  5 P 2.55-2.76
Nb  0.7500  0.4316  0.8987  5 P 2.48-2.65
Nb  0.2500  0.2112  0.6243  4 P 2.59-2.64, 2 Nb 2.87
Nb  0.7500  0.0684  0.3987  5 P 2.48-2.65
Nb  0.2500  0.5684  0.1013  5 P 2.48-2.65
Nb  0.7500  0.6083  0.0008  5 P 2.57-2.86
Nb  0.7500  0.3795  0.7742  5 P 2.45-2.62
Nb  0.2500  0.1552  0.7600  5 P 2.55-2.76
Nb  0.2500  0.1083  0.4992  5 P 2.57-2.86
Nb  0.7500  0.0572  0.1518  5 P 2.48-2.58
Nb  0.7500  0.4592  0.1771  4 P 2.51-2.71
Nb  0.7500  0.1942  0.0454  4 P 2.50-2.69
Nb  0.2500  0.9428  0.8482  5 P 2.48-2.58
Nb  0.2500  0.4157  0.4642  4 P 2.57-2.61
Nb  0.2500  0.8058  0.9546  4 P 2.50-2.69
Nb  0.7500  0.3436  0.3626  4 P 2.51-2.78
Nb  0.7500  0.8917  0.5008  5 P 2.57-2.86
Nb  0.2500  0.6564  0.6374  4 P 2.51-2.78
Nb  0.7500  0.0408  0.6771  4 P 2.51-2.71
Nb  0.7500  0.4428  0.6518  5 P 2.48-2.58
Nb  0.2500  0.0843  0.9642  4 P 2.57-2.61
Nb  0.7500  0.5843  0.5358  4 P 2.57-2.61
Nb  0.2500  0.3917  0.9992  5 P 2.57-2.86
Nb  0.7500  0.1564  0.8626  4 P 2.51-2.78
Nb  0.2500  0.6205  0.2258  5 P 2.45-2.62
Nb  0.7500  0.7888  0.3757  4 P 2.59-2.64, 2 Nb 2.87
Nb  0.2500  0.5408  0.8229  4 P 2.51-2.71
Nb  0.7500  0.8448  0.2400  5 P 2.55-2.76
Nb  0.7500  0.6552  0.7400  5 P 2.55-2.76
Nb  0.2500  0.8436  0.1374  4 P 2.51-2.78
Nb  0.2500  0.2888  0.1243  4 P 2.59-2.64, 2 Nb 2.87
Nb  0.7500  0.7112  0.8757  4 P 2.59-2.64, 2 Nb 2.87
Nb  0.7500  0.3058  0.5454  4 P 2.50-2.69
Nb  0.2500  0.8795  0.7258  5 P 2.45-2.62
Nb  0.2500  0.9592  0.3229  4 P 2.51-2.71
Nb  0.2500  0.6942  0.4546  4 P 2.50-2.69
Nb  0.7500  0.1205  0.2742  5 P 2.45-2.62
Nb  0.2500  0.5572  0.3482  5 P 2.48-2.58
Nb  0.7500  0.9157  0.0358  4 P 2.57-2.61
P  0.7500  0.2507  0.9510  7 Nb 2.48-2.68
P  0.7500  0.5004  0.2802  8 Nb 2.54-2.78
P  0.7500  0.4191  0.0728  8 Nb 2.55-2.71
P  0.2500  0.7464  0.3029  7 Nb 2.45-2.62
P  0.2500  0.0524  0.0770  6 Nb 2.51-2.58
P  0.2500  0.0004  0.2198  8 Nb 2.54-2.78
P  0.7500  0.2536  0.6971  7 Nb 2.45-2.62
P  0.7500  0.2464  0.1971  7 Nb 2.45-2.62
P  0.2500  0.7507  0.5490  7 Nb 2.48-2.68
P  0.7500  0.9476  0.9230  6 Nb 2.51-2.58
P  0.2500  0.7536  0.8029  7 Nb 2.45-2.62
P  0.7500  0.6884  0.1583  8 Nb 2.55-2.76
P  0.2500  0.5809  0.9272  8 Nb 2.55-2.71
P  0.7500  0.2493  0.4510  7 Nb 2.48-2.68
P  0.2500  0.9191  0.4272  8 Nb 2.55-2.71
P  0.2500  0.4476  0.5770  6 Nb 2.51-2.58
P  0.7500  0.8116  0.6583  8 Nb 2.55-2.76
P  0.2500  0.1884  0.3417  8 Nb 2.55-2.76
P  0.7500  0.0809  0.5728  8 Nb 2.55-2.71
P  0.2500  0.4996  0.7198  8 Nb 2.54-2.78
P  0.7500  0.9996  0.7802  8 Nb 2.54-2.78
P  0.2500  0.3116  0.8417  8 Nb 2.55-2.76
P  0.7500  0.5524  0.4230  6 Nb 2.51-2.58
P  0.2500  0.7493  0.0490  7 Nb 2.48-2.68

---

Question: The lowest raw total energy belongs to which entry?
Answer: Nb5P3

---

Question: Among the records above, which one has the lowest raw total energy?
Answer: Nb5P3

---

Question: Look up the ΔE_f of the fourth one.
Answer: -3062 meV/atom